Er2Se3O12, relaxed, DFT PBE; energy of formation from the pure elements = -1.668 eV/atom; energy above the most stable polymorph in this dataset = 0.102 eV/atom; volume = 283 Å³/f.u.
1.0
3.687 6.290 0.000
-3.687 6.290 0.000
0.000 1.952 6.096
O Se Er
12 3 2
Cartesian
-2.062 7.168 1.079
2.388 8.510 3.622
1.029 10.776 3.219
2.237 10.667 6.091
1.662 9.619 1.040
1.662 4.914 5.056
1.029 3.757 2.877
-2.062 7.366 5.017
2.237 3.866 0.005
-0.111 5.228 0.808
-0.111 9.306 5.288
2.388 6.023 2.474
-1.114 6.290 0.000
1.003 9.087 2.979
1.003 5.446 3.117
0.495 2.870 0.967
0.495 11.663 5.129